Nb5P7O30 | PBE-GGA | optimized geometry

abc: 8.8752 8.9335 15.8914
angles: 91.59 106.11 90.03
Sites, in units of the cell vectors:
Nb  0.2064  0.9626  0.9044
Nb  0.7945  0.0390  0.0954
Nb  0.2992  0.5387  0.0949
Nb  0.9186  0.5542  0.3264
Nb  0.5926  0.9464  0.6726
Nb  0.4046  0.0533  0.3268
Nb  0.6997  0.4627  0.9046
Nb  0.4995  0.5002  0.4997
Nb  0.9997  0.0014  0.4999
Nb  0.0795  0.4467  0.6735
P  0.2519  0.4094  0.2890
P  0.3202  0.2315  0.5950
P  0.5522  0.1042  0.8815
P  0.6783  0.7700  0.4046
P  0.4474  0.8966  0.1180
P  0.0282  0.2511  0.9995
P  0.9722  0.7502  0.0004
P  0.0356  0.9081  0.2890
P  0.7258  0.2691  0.4047
P  0.3300  0.6052  0.8814
P  0.2727  0.7302  0.5952
P  0.7460  0.5907  0.7103
P  0.9628  0.0906  0.7111
P  0.6664  0.3968  0.1171
O  0.2035  0.9275  0.2834
O  0.3391  0.9326  0.0259
O  0.7107  0.4963  0.7847
O  0.4236  0.7257  0.1317
O  0.8964  0.3340  0.9339
O  0.6141  0.6605  0.4610
O  0.7294  0.6792  0.3340
O  0.8964  0.8634  0.0513
O  0.3789  0.0880  0.8866
O  0.6092  0.9148  0.5672
O  0.9788  0.0249  0.6225
O  0.1762  0.1489  0.5337
O  0.2899  0.5019  0.2148
O  0.4150  0.9963  0.1876
O  0.1037  0.1380  0.9484
O  0.0748  0.9965  0.7848
O  0.2698  0.3237  0.6651
O  0.7104  0.7547  0.7257
O  0.5807  0.0044  0.8105
O  0.3567  0.4750  0.3773
O  0.7056  0.2264  0.1311
O  0.9195  0.5717  0.7156
O  0.9606  0.4129  0.5685
O  0.8212  0.8553  0.4655
O  0.8494  0.1627  0.4608
O  0.3857  0.3392  0.5387
O  0.6857  0.4339  0.0258
O  0.2282  0.5044  0.8122
O  0.0779  0.4296  0.2826
O  0.6036  0.1757  0.3357
O  0.7667  0.4968  0.1874
O  0.5777  0.2744  0.8675
O  0.0354  0.5894  0.4326
O  0.4486  0.1247  0.6406
O  0.9840  0.7449  0.2728
O  0.1532  0.8410  0.5402
O  0.9240  0.0037  0.2157
O  0.9616  0.1688  0.0657
O  0.3970  0.8186  0.6652
O  0.6448  0.3539  0.4665
O  0.4885  0.4143  0.1123
O  0.5079  0.5862  0.8863
O  0.8441  0.6391  0.9492
O  0.0400  0.8308  0.9345
O  0.6412  0.5247  0.6219
O  0.6206  0.9153  0.1129
O  0.0219  0.9726  0.3781
O  0.2856  0.2441  0.2744
O  0.1888  0.6267  0.6422
O  0.5470  0.8733  0.3579
O  0.3512  0.6448  0.5324
O  0.0125  0.2549  0.7260
O  0.2917  0.7753  0.8659
O  0.8063  0.3746  0.3569
O  0.3927  0.0881  0.4328
O  0.1569  0.3610  0.0512
O  0.6627  0.0663  0.9730
O  0.1023  0.6667  0.0673
O  0.3097  0.5708  0.9730
O  0.7960  0.0704  0.7184

Magnetic moment (Bohr magnetons per cell): 0.00
Calculated formation energy (meV/atom): -2860
E_tot (eV per cell): -672.736